1:
A plane-wave DFT calculation with GGA-PBE was carried out for a geometry-optimized SrMg14Ga structure.

extended XYZ file:
```
16
Lattice="10.560 0.000 0.000 0.000 3.221 5.667 0.000 -3.221 5.667" Properties=species:S:1:pos:R:3 pbc="T T T"
Sr 0.000 0.000 0.000
Mg 0.000 -1.561 2.854
Mg 0.000 1.561 2.854
Mg 2.537 0.000 7.473
Mg 2.747 -1.566 4.659
Mg 2.747 1.566 4.659
Mg 2.787 0.000 1.882
Mg 5.280 0.000 5.643
Mg 5.280 -1.584 8.450
Mg 5.280 1.584 8.450
Mg 5.280 0.000 11.277
Mg 7.773 0.000 1.882
Mg 7.813 -1.566 4.659
Mg 7.813 1.566 4.659
Mg 8.023 0.000 7.473
Ga 0.000 0.000 5.471
```

space-group type	Amm2 (38)


2:
A plane-wave DFT calculation with GGA-PBE was carried out for a geometry-optimized SrMg14Ga structure.

extended XYZ file:
```
16
Lattice="6.507 0.000 0.000 -3.253 5.635 0.000 0.000 0.000 10.558" Properties=species:S:1:pos:R:3 pbc="T T T"
Sr 0.000 0.000 0.000
Mg -1.563 2.854 0.000
Mg 0.000 1.896 2.801
Mg 0.000 1.896 7.757
Mg -1.612 4.687 2.801
Mg -1.612 4.687 7.757
Mg 1.563 2.854 0.000
Mg 0.000 5.562 0.000
Mg 3.253 0.031 5.279
Mg 1.653 2.802 5.279
Mg 1.612 4.687 2.801
Mg 1.612 4.687 7.757
Mg 3.253 1.878 2.567
Mg 3.253 1.878 7.990
Mg 4.854 2.802 5.279
Ga 0.000 0.000 5.279
```

space-group type	P-6m2 (187)


Q: Which of them is the most stable? A: 1.